1.
# BaV2H2Se4O14, relaxed, DFT PBE+U
data_BaV2H2Se4O14
_cell_length_a 7.2061
_cell_length_b 9.8879
_cell_length_c 10.0129
_cell_angle_alpha 63.47
_cell_angle_beta 90.00
_cell_angle_gamma 90.00
_space_group_name_H-M_alt 'P 1'
_space_group_IT_number 1
_space_group_name_Hall 'P 1'
loop_
_atom_site_label
_atom_site_type_symbol
_atom_site_fract_x
_atom_site_fract_y
_atom_site_fract_z
Ba1 Ba 0.5000 0.5000 0.0000
Ba2 Ba 0.0000 0.5000 0.5000
V1 V 0.5260 0.2945 0.4453
V2 V 0.0260 0.7055 0.0547
V3 V 0.4740 0.7055 0.5547
V4 V 0.9740 0.2945 0.9453
H1 H 0.4313 0.8691 0.9455
H2 H 0.9313 0.1309 0.5545
H3 H 0.5687 0.1309 0.0545
H4 H 0.0687 0.8691 0.4455
Se1 Se 0.4261 0.9446 0.6888
Se2 Se 0.9261 0.0554 0.8112
Se3 Se 0.5739 0.0554 0.3112
Se4 Se 0.0739 0.9446 0.1888
Se5 Se 0.5052 0.3152 0.7511
Se6 Se 0.0052 0.6848 0.7489
Se7 Se 0.4948 0.6848 0.2489
Se8 Se 0.9948 0.3152 0.2511
O1 O 0.5902 0.0733 0.5807
O2 O 0.0902 0.9267 0.9193
O3 O 0.4098 0.9267 0.4193
O4 O 0.9098 0.0733 0.0807
O5 O 0.6527 0.3479 0.6012
O6 O 0.1527 0.6521 0.8988
O7 O 0.3473 0.6521 0.3988
O8 O 0.8473 0.3479 0.1012
O9 O 0.5660 0.5040 0.2814
O10 O 0.0660 0.4960 0.2186
O11 O 0.4340 0.4960 0.7186
O12 O 0.9340 0.5040 0.7814
O13 O 0.8461 0.2773 0.3997
O14 O 0.3461 0.7227 0.1003
O15 O 0.1539 0.7227 0.6003
O16 O 0.6539 0.2773 0.8997
O17 O 0.4799 0.2288 0.2824
O18 O 0.9799 0.7712 0.2176
O19 O 0.5201 0.7712 0.7176
O20 O 0.0201 0.2288 0.7824
O21 O 0.3104 0.3043 0.4962
O22 O 0.8104 0.6957 0.0038
O23 O 0.6896 0.6957 0.5038
O24 O 0.1896 0.3043 0.9962
O25 O 0.5029 0.9460 0.8572
O26 O 0.0029 0.0540 0.6428
O27 O 0.4971 0.0540 0.1428
O28 O 0.9971 0.9460 0.3572
# corrected total energy (MP2020 scheme) = -151.4 eV/f.u.
# energy of formation = -1.793 eV/atom
# crystal system = monoclinic
# E = -276.682 eV per cell
# SG = No. 14

=====

2.
# Ba2Mn2Si2O9, relaxed, DFT PBE+U
data_Ba2Mn2Si2O9
_cell_length_a 8.7229
_cell_length_b 10.9277
_cell_length_c 18.6085
_cell_angle_alpha 90.00
_cell_angle_beta 90.00
_cell_angle_gamma 90.00
_space_group_name_H-M_alt 'P 1'
_space_group_IT_number 1
_space_group_name_Hall 'P 1'
loop_
_atom_site_label
_atom_site_type_symbol
_atom_site_fract_x
_atom_site_fract_y
_atom_site_fract_z
Ba1 Ba 0.2624 0.4947 0.0059
Ba2 Ba 0.2624 0.0053 0.5059
Ba3 Ba 0.7624 0.4947 0.4941
Ba4 Ba 0.2442 0.2919 0.2409
Ba5 Ba 0.7376 0.5053 0.9941
Ba6 Ba 0.7442 0.2919 0.2591
Ba7 Ba 0.2442 0.2081 0.7409
Ba8 Ba 0.7558 0.7081 0.7591
Ba9 Ba 0.7558 0.7919 0.2591
Ba10 Ba 0.2558 0.7081 0.7409
Ba11 Ba 0.2376 0.5053 0.5059
Ba12 Ba 0.7624 0.0053 0.9941
Ba13 Ba 0.2558 0.7919 0.2409
Ba14 Ba 0.7376 0.9947 0.4941
Ba15 Ba 0.7442 0.2081 0.7591
Ba16 Ba 0.2376 0.9947 0.0059
Mn1 Mn 0.4681 0.4621 0.6551
Mn2 Mn 0.0319 0.5379 0.1551
Mn3 Mn 0.9681 0.4621 0.8449
Mn4 Mn 0.5319 0.9621 0.8449
Mn5 Mn 0.0319 0.9621 0.6551
Mn6 Mn 0.4604 0.7646 0.4177
Mn7 Mn 0.0396 0.2646 0.4177
Mn8 Mn 0.4604 0.7354 0.9177
Mn9 Mn 0.0396 0.2354 0.9177
Mn10 Mn 0.5396 0.2354 0.5823
Mn11 Mn 0.9604 0.7354 0.5823
Mn12 Mn 0.9681 0.0379 0.3449
Mn13 Mn 0.4681 0.0379 0.1551
Mn14 Mn 0.5396 0.2646 0.0823
Mn15 Mn 0.9604 0.7646 0.0823
Mn16 Mn 0.5319 0.5379 0.3449
Si1 Si 0.0465 0.7626 0.4090
Si2 Si 0.0472 0.0317 0.1708
Si3 Si 0.9535 0.2626 0.0910
Si4 Si 0.9528 0.9683 0.8292
Si5 Si 0.4528 0.9683 0.6708
Si6 Si 0.9535 0.2374 0.5910
Si7 Si 0.0472 0.4683 0.6708
Si8 Si 0.4528 0.5317 0.1708
Si9 Si 0.5472 0.4683 0.8292
Si10 Si 0.4535 0.2626 0.4090
Si11 Si 0.5472 0.0317 0.3292
Si12 Si 0.0465 0.7374 0.9090
Si13 Si 0.4535 0.2374 0.9090
Si14 Si 0.5465 0.7626 0.0910
Si15 Si 0.9528 0.5317 0.3292
Si16 Si 0.5465 0.7374 0.5910
O1 O 0.9830 0.7957 0.6788
O2 O 0.5548 0.8400 0.6594
O3 O 0.2792 0.3131 0.4156
O4 O 0.2724 0.9303 0.6673
O5 O 0.5025 0.5315 0.7518
O6 O 0.0025 0.9685 0.2482
O7 O 0.4246 0.8697 0.1165
O8 O 0.4975 0.4685 0.2482
O9 O 0.9246 0.8697 0.3835
O10 O 0.0170 0.2043 0.3212
O11 O 0.0082 0.9369 0.1052
O12 O 0.2276 0.0697 0.1673
O13 O 0.5025 0.9685 0.2518
O14 O 0.9246 0.6303 0.8835
O15 O 0.4452 0.1600 0.3406
O16 O 0.0086 0.4034 0.9401
O17 O 0.2276 0.4303 0.6673
O18 O 0.0025 0.5315 0.7482
O19 O 0.9975 0.0315 0.7518
O20 O 0.4918 0.0631 0.6052
O21 O 0.9914 0.5966 0.0599
O22 O 0.9452 0.3400 0.6594
O23 O 0.4914 0.9034 0.9401
O24 O 0.7276 0.4303 0.8327
O25 O 0.5086 0.0966 0.0599
O26 O 0.0086 0.0966 0.4401
O27 O 0.4975 0.0315 0.7482
O28 O 0.7276 0.0697 0.3327
O29 O 0.9830 0.7043 0.1788
O30 O 0.5754 0.3697 0.3835
O31 O 0.5082 0.9369 0.3948
O32 O 0.0170 0.2957 0.8212
O33 O 0.4873 0.6863 0.0201
O34 O 0.0754 0.3697 0.1165
O35 O 0.4246 0.6303 0.6165
O36 O 0.5754 0.1303 0.8835
O37 O 0.9914 0.9034 0.5599
O38 O 0.5127 0.3137 0.9799
O39 O 0.5082 0.5631 0.8948
O40 O 0.0082 0.5631 0.6052
O41 O 0.0127 0.1863 0.0201
O42 O 0.7792 0.1869 0.5844
O43 O 0.9873 0.8137 0.9799
O44 O 0.9918 0.4369 0.3948
O45 O 0.5170 0.2043 0.1788
O46 O 0.0127 0.3137 0.5201
O47 O 0.2208 0.8131 0.4156
O48 O 0.9975 0.4685 0.2518
O49 O 0.4830 0.7043 0.3212
O50 O 0.2724 0.5697 0.1673
O51 O 0.0754 0.1303 0.6165
O52 O 0.4830 0.7957 0.8212
O53 O 0.5548 0.6600 0.1594
O54 O 0.5170 0.2957 0.6788
O55 O 0.0548 0.8400 0.8406
O56 O 0.7208 0.6869 0.5844
O57 O 0.2208 0.6869 0.9156
O58 O 0.4918 0.4369 0.1052
O59 O 0.4873 0.8137 0.5201
O60 O 0.7208 0.8131 0.0844
O61 O 0.9918 0.0631 0.8948
O62 O 0.9873 0.6863 0.4799
O63 O 0.2792 0.1869 0.9156
O64 O 0.7724 0.9303 0.8327
O65 O 0.7724 0.5697 0.3327
O66 O 0.7792 0.3131 0.0844
O67 O 0.9452 0.1600 0.1594
O68 O 0.4914 0.5966 0.4401
O69 O 0.4452 0.3400 0.8406
O70 O 0.0548 0.6600 0.3406
O71 O 0.5086 0.4034 0.5599
O72 O 0.5127 0.1863 0.4799
# corrected total energy (MP2020 scheme) = -121.7 eV/f.u.
# energy of formation = -2.941 eV/atom
# crystal system = orthorhombic
# E = -897.155 eV per cell
# SG = No. 61

=====

3.
# KMg14FeO16, relaxed, DFT PBE+U
data_KMg14FeO16
_cell_length_a 8.6358
_cell_length_b 8.6358
_cell_length_c 4.3869
_cell_angle_alpha 90.00
_cell_angle_beta 90.00
_cell_angle_gamma 90.00
_space_group_name_H-M_alt 'P 1'
_space_group_IT_number 1
_space_group_name_Hall 'P 1'
loop_
_atom_site_label
_atom_site_type_symbol
_atom_site_fract_x
_atom_site_fract_y
_atom_site_fract_z
K1 K 0.5000 0.5000 0.0000
Mg1 Mg 0.0000 0.5000 0.0000
Mg2 Mg 0.5000 0.0000 0.0000
Mg3 Mg 0.0000 0.2538 0.5000
Mg4 Mg 0.0000 0.7462 0.5000
Mg5 Mg 0.5000 0.2500 0.5000
Mg6 Mg 0.5000 0.7500 0.5000
Mg7 Mg 0.2538 0.0000 0.5000
Mg8 Mg 0.2500 0.5000 0.5000
Mg9 Mg 0.7462 0.0000 0.5000
Mg10 Mg 0.7500 0.5000 0.5000
Mg11 Mg 0.2529 0.2529 0.0000
Mg12 Mg 0.2529 0.7471 0.0000
Mg13 Mg 0.7471 0.2529 0.0000
Mg14 Mg 0.7471 0.7471 0.0000
Fe1 Fe 0.0000 0.0000 0.0000
O1 O 0.2366 0.0000 0.0000
O2 O 0.2236 0.5000 0.0000
O3 O 0.7634 0.0000 0.0000
O4 O 0.7764 0.5000 0.0000
O5 O 0.2478 0.2478 0.5000
O6 O 0.2478 0.7522 0.5000
O7 O 0.7522 0.2478 0.5000
O8 O 0.7522 0.7522 0.5000
O9 O 0.0000 0.0000 0.5000
O10 O 0.0000 0.5000 0.5000
O11 O 0.5000 0.0000 0.5000
O12 O 0.5000 0.5000 0.5000
O13 O 0.0000 0.2366 0.0000
O14 O 0.0000 0.7634 0.0000
O15 O 0.5000 0.2236 0.0000
O16 O 0.5000 0.7764 0.0000
# distance to the lowest polymorph of the same formula = 11 meV per atom
# corrected total energy (MP2020 scheme) = -199.5 eV/f.u.
# energy of formation = -2.759 eV/atom
# crystal system = tetragonal
# E = -186.204 eV per cell
# SG = No. 123

=====

4.
# SrCrO3, relaxed, DFT PBE+U
data_SrCrO3
_cell_length_a 3.8932
_cell_length_b 3.8932
_cell_length_c 3.8932
_cell_angle_alpha 90.00
_cell_angle_beta 90.00
_cell_angle_gamma 90.00
_space_group_name_H-M_alt 'P 1'
_space_group_IT_number 1
_space_group_name_Hall 'P 1'
loop_
_atom_site_label
_atom_site_type_symbol
_atom_site_fract_x
_atom_site_fract_y
_atom_site_fract_z
Sr1 Sr 0.5000 0.5000 0.5000
Cr1 Cr 0.0000 0.0000 0.0000
O1 O 0.5000 0.0000 0.0000
O2 O 0.0000 0.5000 0.0000
O3 O 0.0000 0.0000 0.5000
# corrected total energy (MP2020 scheme) = -39.0 eV/f.u.
# energy of formation = -2.572 eV/atom
# crystal system = cubic
# E = -34.988 eV per cell
# SG = No. 221

=====

5.
# Ca2LaMn2O7, relaxed, DFT PBE+U
data_Ca2LaMn2O7
_cell_length_a 3.9398
_cell_length_b 10.1548
_cell_length_c 7.6138
_cell_angle_alpha 100.80
_cell_angle_beta 90.00
_cell_angle_gamma 101.19
_space_group_name_H-M_alt 'P 1'
_space_group_IT_number 1
_space_group_name_Hall 'P 1'
loop_
_atom_site_label
_atom_site_type_symbol
_atom_site_fract_x
_atom_site_fract_y
_atom_site_fract_z
Ca1 Ca 0.3147 0.6293 0.6573
Ca2 Ca 0.3147 0.6293 0.1573
Ca3 Ca 0.6853 0.3707 0.3427
Ca4 Ca 0.6853 0.3707 0.8427
La1 La 0.5000 0.0000 0.2500
La2 La 0.5000 0.0000 0.7500
Mn1 Mn 0.1021 0.2043 0.5511
Mn2 Mn 0.8979 0.7958 0.4489
Mn3 Mn 0.1021 0.2042 0.0510
Mn4 Mn 0.8979 0.7957 0.9490
O1 O 0.0000 0.0000 0.5000
O2 O 0.0000 0.0000 0.0000
O3 O 0.1997 0.3995 0.5998
O4 O 0.1997 0.3995 0.0998
O5 O 0.8003 0.6005 0.4002
O6 O 0.8003 0.6005 0.9002
O7 O 0.0960 0.1921 0.2980
O8 O 0.0960 0.1921 0.7980
O9 O 0.9040 0.8079 0.7020
O10 O 0.9040 0.8079 0.2020
O11 O 0.5964 0.1929 0.5482
O12 O 0.5964 0.1929 0.0482
O13 O 0.4036 0.8071 0.4518
O14 O 0.4036 0.8071 0.9518
# distance to the lowest polymorph of the same formula = 16 meV per atom
# corrected total energy (MP2020 scheme) = -95.8 eV/f.u.
# energy of formation = -2.828 eV/atom
# E = -175.404 eV per cell

=====

6.
# La2TeMo6O35, relaxed, DFT PBE+U
data_La2TeMo6O35
_cell_length_a 13.7244
_cell_length_b 10.4299
_cell_length_c 10.4793
_cell_angle_alpha 77.96
_cell_angle_beta 90.00
_cell_angle_gamma 90.00
_space_group_name_H-M_alt 'P 1'
_space_group_IT_number 1
_space_group_name_Hall 'P 1'
loop_
_atom_site_label
_atom_site_type_symbol
_atom_site_fract_x
_atom_site_fract_y
_atom_site_fract_z
La1 La 0.8130 0.7104 0.6879
La2 La 0.6884 0.2196 0.1777
La3 La 0.1884 0.7804 0.8223
La4 La 0.3130 0.2896 0.3121
Te1 Te 0.9956 0.2484 0.7534
Te2 Te 0.4956 0.7516 0.2466
Mo1 Mo 0.0011 0.4734 0.9346
Mo2 Mo 0.5015 0.9759 0.4241
Mo3 Mo 0.0015 0.0241 0.5759
Mo4 Mo 0.5011 0.5266 0.0654
Mo5 Mo 0.9706 0.9364 0.8976
Mo6 Mo 0.5299 0.4416 0.3865
Mo7 Mo 0.0299 0.5584 0.6135
Mo8 Mo 0.4706 0.0636 0.1024
Mo9 Mo 0.9708 0.1601 0.0799
Mo10 Mo 0.5309 0.6652 0.5683
Mo11 Mo 0.0309 0.3348 0.4317
Mo12 Mo 0.4708 0.8399 0.9201
O1 O 0.8834 0.8259 0.8570
O2 O 0.6185 0.3348 0.3416
O3 O 0.1185 0.6652 0.6584
O4 O 0.3834 0.1741 0.1430
O5 O 0.7320 0.0700 0.6602
O6 O 0.7685 0.5659 0.1756
O7 O 0.2685 0.4341 0.8244
O8 O 0.2320 0.9300 0.3398
O9 O 0.9046 0.5201 0.0250
O10 O 0.5980 0.0264 0.5094
O11 O 0.0980 0.9736 0.4906
O12 O 0.4046 0.4799 0.9750
O13 O 0.9120 0.3031 0.8855
O14 O 0.5818 0.8049 0.3725
O15 O 0.0818 0.1951 0.6275
O16 O 0.4120 0.6969 0.1145
O17 O 0.8633 0.2050 0.1586
O18 O 0.6398 0.7085 0.6457
O19 O 0.1398 0.2915 0.3543
O20 O 0.3633 0.7950 0.8414
O21 O 0.0422 0.0681 0.1984
O22 O 0.4605 0.5732 0.6881
O23 O 0.9605 0.4268 0.3119
O24 O 0.5422 0.9319 0.8016
O25 O 0.9416 0.5656 0.7689
O26 O 0.5617 0.0669 0.2538
O27 O 0.0617 0.9331 0.7462
O28 O 0.4416 0.4344 0.2311
O29 O 0.9191 0.0938 0.7377
O30 O 0.5763 0.6016 0.2240
O31 O 0.0763 0.3984 0.7760
O32 O 0.4191 0.9062 0.2623
O33 O 0.7631 0.4745 0.6897
O34 O 0.7351 0.9968 0.1001
O35 O 0.2351 0.0032 0.8999
O36 O 0.2631 0.5255 0.3103
O37 O 0.7682 0.5718 0.9349
O38 O 0.7389 0.0960 0.4210
O39 O 0.2389 0.9040 0.5790
O40 O 0.2682 0.4282 0.0651
O41 O 0.7934 0.8185 0.3605
O42 O 0.7529 0.3854 0.8840
O43 O 0.2529 0.6146 0.1160
O44 O 0.2934 0.1815 0.6395
O45 O 0.9005 0.0144 0.0193
O46 O 0.5976 0.5193 0.5059
O47 O 0.0976 0.4807 0.4941
O48 O 0.4005 0.9856 0.9807
O49 O 0.0466 0.3220 0.0557
O50 O 0.4554 0.8270 0.5487
O51 O 0.9554 0.1730 0.4513
O52 O 0.5466 0.6780 0.9443
O53 O 0.0638 0.8422 0.9898
O54 O 0.4376 0.3438 0.4758
O55 O 0.9376 0.6562 0.5242
O56 O 0.5638 0.1578 0.0102
O57 O 0.9427 0.3724 0.6025
O58 O 0.5509 0.8725 0.0920
O59 O 0.0509 0.1275 0.9080
O60 O 0.4427 0.6276 0.3975
O61 O 0.0974 0.5870 0.9368
O62 O 0.4055 0.0909 0.4223
O63 O 0.9055 0.9091 0.5777
O64 O 0.5974 0.4130 0.0632
O65 O 0.7488 0.6413 0.0731
O66 O 0.7533 0.1522 0.5624
O67 O 0.2533 0.8478 0.4376
O68 O 0.2488 0.3587 0.9269
O69 O 0.8512 0.7934 0.2791
O70 O 0.3512 0.2066 0.7209
# corrected total energy (MP2020 scheme) = -299.0 eV/f.u.
# energy of formation = -1.085 eV/atom
# crystal system = monoclinic
# E = -548.334 eV per cell
# SG = No. 4

=====

7.
# Co3As2H16O16, relaxed, DFT PBE+U
data_Co3As2H16O16
_cell_length_a 8.4898
_cell_length_b 8.4898
_cell_length_c 4.7689
_cell_angle_alpha 81.23
_cell_angle_beta 81.23
_cell_angle_gamma 105.23
_space_group_name_H-M_alt 'P 1'
_space_group_IT_number 1
_space_group_name_Hall 'P 1'
loop_
_atom_site_label
_atom_site_type_symbol
_atom_site_fract_x
_atom_site_fract_y
_atom_site_fract_z
Co1 Co 0.0000 0.0000 0.0000
Co2 Co 0.6163 0.3837 0.0000
Co3 Co 0.3837 0.6163 0.0000
As1 As 0.6842 0.6842 0.3778
As2 As 0.3158 0.3158 0.6222
H1 H 0.8034 0.9588 0.6446
H2 H 0.1966 0.0412 0.3554
H3 H 0.0412 0.1966 0.3554
H4 H 0.9588 0.8034 0.6446
H5 H 0.7446 0.1740 0.2828
H6 H 0.2554 0.8260 0.7172
H7 H 0.8260 0.2554 0.7172
H8 H 0.1740 0.7446 0.2828
H9 H 0.3085 0.0554 0.0451
H10 H 0.6915 0.9446 0.9549
H11 H 0.9446 0.6915 0.9549
H12 H 0.0554 0.3085 0.0451
H13 H 0.5745 0.1725 0.4864
H14 H 0.4255 0.8275 0.5136
H15 H 0.8275 0.4255 0.5136
H16 H 0.1725 0.5745 0.4864
O1 O 0.4121 0.4121 0.2716
O2 O 0.5879 0.5879 0.7284
O3 O 0.8511 0.8511 0.3975
O4 O 0.1489 0.1489 0.6025
O5 O 0.6279 0.1730 0.2853
O6 O 0.3721 0.8270 0.7147
O7 O 0.8270 0.3721 0.7147
O8 O 0.1730 0.6279 0.2853
O9 O 0.5517 0.7715 0.2078
O10 O 0.4483 0.2285 0.7922
O11 O 0.2285 0.4483 0.7922
O12 O 0.7715 0.5517 0.2078
O13 O 0.2051 0.9833 0.1856
O14 O 0.7949 0.0167 0.8144
O15 O 0.0167 0.7949 0.8144
O16 O 0.9833 0.2051 0.1856
# corrected total energy (MP2020 scheme) = -214.8 eV/f.u.
# energy of formation = -1.371 eV/atom
# crystal system = monoclinic
# E = -198.929 eV per cell
# SG = No. 12

=====

8.
# Li2FeBO4, relaxed, DFT PBE+U
data_Li2FeBO4
_cell_length_a 4.8917
_cell_length_b 6.4260
_cell_length_c 9.9286
_cell_angle_alpha 89.66
_cell_angle_beta 90.00
_cell_angle_gamma 90.00
_space_group_name_H-M_alt 'P 1'
_space_group_IT_number 1
_space_group_name_Hall 'P 1'
loop_
_atom_site_label
_atom_site_type_symbol
_atom_site_fract_x
_atom_site_fract_y
_atom_site_fract_z
Li1 Li 0.6751 0.0022 0.4155
Li2 Li 0.8249 0.0022 0.9155
Li3 Li 0.1518 0.7421 0.3461
Li4 Li 0.3482 0.7421 0.8461
Li5 Li 0.6518 0.2579 0.1539
Li6 Li 0.8482 0.2579 0.6539
Li7 Li 0.1751 0.9978 0.0845
Li8 Li 0.3249 0.9978 0.5845
Fe1 Fe 0.6502 0.7383 0.1678
Fe2 Fe 0.8498 0.7383 0.6678
Fe3 Fe 0.1502 0.2617 0.3322
Fe4 Fe 0.3498 0.2617 0.8322
B1 B 0.1528 0.5002 0.0827
B2 B 0.3472 0.5002 0.5827
B3 B 0.6528 0.4998 0.4173
B4 B 0.8472 0.4998 0.9173
O1 O 0.7714 0.9896 0.1127
O2 O 0.7286 0.9896 0.6127
O3 O 0.2634 0.6893 0.1392
O4 O 0.2366 0.6893 0.6392
O5 O 0.7500 0.6890 0.3547
O6 O 0.7500 0.6890 0.8547
O7 O 0.8320 0.5070 0.0733
O8 O 0.6680 0.5070 0.5733
O9 O 0.3320 0.4930 0.4267
O10 O 0.1680 0.4930 0.9267
O11 O 0.2500 0.3110 0.1453
O12 O 0.2500 0.3110 0.6453
O13 O 0.7634 0.3107 0.3608
O14 O 0.7366 0.3107 0.8608
O15 O 0.2714 0.0104 0.3873
O16 O 0.2286 0.0104 0.8873
# distance to the lowest polymorph of the same formula = 59 meV per atom
# corrected total energy (MP2020 scheme) = -56.8 eV/f.u.
# energy of formation = -2.254 eV/atom
# crystal system = monoclinic
# E = -207.157 eV per cell
# SG = No. 14